1.
Compound: TiC20Cl4
Source: Materials Project
Functional: PBE-GGA
Structure: optimized geometry

Values from the calculation:
Total moment, μB per atom: 0.00
Final energy, eV per atom: -8.003
Corrected total energy (MP2020 scheme), Ry/atom: -0.5954
Energy of formation, kJ/mol of formula units: -257
SG: P2_1/c

Cell lengths 13.4222, 19.4343, 21.9854 Å; angles 90.00, 123.74, 90.00 degrees
Element x y z (fractional)
Ti (0.0487, 0.1449, 0.4518)
Ti (0.0487, 0.3551, 0.9518)
Ti (0.2298, 0.0897, 0.8590)
Ti (0.2298, 0.4103, 0.3590)
Ti (0.2369, 0.7437, 0.8963)
Ti (0.2369, 0.7563, 0.3963)
Ti (0.7631, 0.2437, 0.6037)
Ti (0.7631, 0.2563, 0.1037)
Ti (0.7702, 0.5897, 0.6410)
Ti (0.7702, 0.9103, 0.1410)
Ti (0.9513, 0.6449, 0.0482)
Ti (0.9513, 0.8551, 0.5482)
C (0.0655, 0.0293, 0.1289)
C (0.0655, 0.4707, 0.6289)
C (0.0660, 0.0990, 0.1052)
C (0.0660, 0.4009, 0.6052)
C (0.0850, 0.0331, 0.2009)
C (0.0850, 0.4669, 0.7009)
C (0.0861, 0.1460, 0.1625)
C (0.0861, 0.3540, 0.6625)
C (0.0978, 0.1052, 0.2216)
C (0.0978, 0.3948, 0.7216)
C (0.1162, 0.5244, 0.6124)
C (0.1162, 0.9756, 0.1124)
C (0.1176, 0.1125, 0.0659)
C (0.1176, 0.3875, 0.5659)
C (0.1546, 0.5169, 0.7536)
C (0.1546, 0.9831, 0.2536)
C (0.1567, 0.2047, 0.1783)
C (0.1567, 0.2953, 0.6783)
C (0.1698, 0.5103, 0.5716)
C (0.1698, 0.9897, 0.0716)
C (0.1706, 0.0568, 0.0489)
C (0.1706, 0.4432, 0.5489)
C (0.1798, 0.1246, 0.2944)
C (0.1798, 0.3754, 0.7944)
C (0.1885, 0.5763, 0.6672)
C (0.1885, 0.9237, 0.1672)
C (0.1913, 0.1735, 0.0824)
C (0.1913, 0.3265, 0.5824)
C (0.2075, 0.5726, 0.7364)
C (0.2075, 0.9274, 0.2364)
C (0.2104, 0.2188, 0.1374)
C (0.2104, 0.2812, 0.6374)
C (0.2401, 0.0033, 0.3292)
C (0.2401, 0.4967, 0.8292)
C (0.2422, 0.2248, 0.2540)
C (0.2422, 0.2752, 0.7540)
C (0.2523, 0.0726, 0.3492)
C (0.2523, 0.4274, 0.8492)
C (0.2534, 0.1857, 0.3108)
C (0.2534, 0.3143, 0.8108)
C (0.2753, 0.5536, 0.6011)
C (0.2753, 0.9464, 0.1011)
C (0.2769, 0.0833, 0.0548)
C (0.2769, 0.4167, 0.5548)
C (0.2869, 0.5944, 0.6602)
C (0.2869, 0.9056, 0.1602)
C (0.2897, 0.1554, 0.0755)
C (0.2897, 0.3446, 0.5755)
C (0.3162, 0.5442, 0.1223)
C (0.3159, 0.6140, 0.1461)
C (0.3159, 0.8860, 0.6461)
C (0.3162, 0.9558, 0.6223)
C (0.3257, 0.5867, 0.8014)
C (0.3257, 0.9133, 0.3014)
C (0.3290, 0.2476, 0.1879)
C (0.3290, 0.2524, 0.6879)
C (0.3357, 0.6102, 0.2181)
C (0.3357, 0.8898, 0.7181)
C (0.3366, 0.0027, 0.6798)
C (0.3366, 0.4973, 0.1798)
C (0.3457, 0.5399, 0.8586)
C (0.3457, 0.9601, 0.3586)
C (0.3486, 0.2487, 0.7598)
C (0.3486, 0.2513, 0.2598)
C (0.3487, 0.5382, 0.2389)
C (0.3487, 0.9618, 0.7389)
C (0.3669, 0.6676, 0.1298)
C (0.3669, 0.8324, 0.6298)
C (0.3678, 0.5306, 0.0829)
C (0.3678, 0.9694, 0.5829)
C (0.3709, 0.1015, 0.3994)
C (0.3714, 0.1712, 0.3758)
C (0.3714, 0.3288, 0.8758)
C (0.3709, 0.3985, 0.8994)
C (0.3785, 0.0417, 0.0832)
C (0.3785, 0.4583, 0.5832)
C (0.3777, 0.5281, 0.6068)
C (0.3777, 0.9719, 0.1068)
C (0.4006, 0.6080, 0.7228)
C (0.4006, 0.8920, 0.2228)
C (0.4038, 0.1833, 0.1239)
C (0.4038, 0.3167, 0.6239)
C (0.4053, 0.6602, 0.2709)
C (0.4053, 0.8398, 0.7709)
C (0.4074, 0.0614, 0.6956)
C (0.4074, 0.4386, 0.1956)
C (0.4204, 0.6042, 0.7948)
C (0.4204, 0.8958, 0.2948)
C (0.4211, 0.5864, 0.0662)
C (0.4206, 0.6535, 0.0890)
C (0.4206, 0.8465, 0.5890)
C (0.4211, 0.9136, 0.5662)
C (0.4237, 0.2302, 0.1812)
C (0.4237, 0.2698, 0.6812)
C (0.4308, 0.5187, 0.3116)
C (0.4308, 0.9813, 0.8116)
C (0.4394, 0.7195, 0.1845)
C (0.4394, 0.7805, 0.6845)
C (0.4416, 0.0303, 0.5996)
C (0.4416, 0.4697, 0.0996)
C (0.4582, 0.7159, 0.2537)
C (0.4582, 0.7841, 0.7537)
C (0.4598, 0.5121, 0.9071)
C (0.4598, 0.9879, 0.4071)
C (0.4609, 0.0754, 0.6547)
C (0.4609, 0.4246, 0.1547)
C (0.4622, 0.2375, 0.3225)
C (0.4622, 0.2625, 0.8225)
C (0.4725, 0.0599, 0.4278)
C (0.4725, 0.4401, 0.9278)
C (0.4738, 0.1967, 0.3814)
C (0.4738, 0.3033, 0.8814)
C (0.4907, 0.6400, 0.3465)
C (0.4907, 0.8600, 0.8465)
C (0.4930, 0.0816, 0.7712)
C (0.4930, 0.4184, 0.2712)
C (0.4956, 0.5423, 0.6719)
C (0.4956, 0.9577, 0.1719)
C (0.4969, 0.0707, 0.1335)
C (0.4969, 0.4293, 0.6335)
C (0.5031, 0.5707, 0.3665)
C (0.5031, 0.9293, 0.8665)
C (0.5044, 0.0423, 0.8281)
C (0.5044, 0.4577, 0.3281)
C (0.5070, 0.5816, 0.7288)
C (0.5070, 0.9184, 0.2288)
C (0.5093, 0.1400, 0.1535)
C (0.5093, 0.3600, 0.6535)
C (0.5262, 0.6967, 0.1186)
C (0.5262, 0.8033, 0.6186)
C (0.5275, 0.5599, 0.0722)
C (0.5275, 0.9401, 0.5722)
C (0.5378, 0.7375, 0.1775)
C (0.5378, 0.7625, 0.6775)
C (0.5391, 0.5754, 0.8453)
C (0.5391, 0.9246, 0.3453)
C (0.5402, 0.0121, 0.5929)
C (0.5402, 0.4879, 0.0929)
C (0.5418, 0.2159, 0.2463)
C (0.5418, 0.2841, 0.7463)
C (0.5584, 0.5303, 0.9004)
C (0.5584, 0.9697, 0.4004)
C (0.5606, 0.2195, 0.3155)
C (0.5606, 0.2805, 0.8155)
C (0.5692, 0.0187, 0.1884)
C (0.5692, 0.4813, 0.6884)
C (0.5763, 0.7302, 0.3188)
C (0.5763, 0.7698, 0.8188)
C (0.5789, 0.0864, 0.4338)
C (0.5794, 0.1535, 0.4110)
C (0.5794, 0.3465, 0.9110)
C (0.5789, 0.4136, 0.9338)
C (0.5796, 0.1042, 0.7052)
C (0.5796, 0.3958, 0.2052)
C (0.5926, 0.5614, 0.8044)
C (0.5926, 0.9386, 0.3044)
C (0.5947, 0.1602, 0.2291)
C (0.5947, 0.3398, 0.7291)
C (0.5962, 0.6833, 0.3761)
C (0.5962, 0.8167, 0.8761)
C (0.5994, 0.1080, 0.7772)
C (0.5994, 0.3920, 0.2772)
C (0.6223, 0.0281, 0.8932)
C (0.6223, 0.4719, 0.3932)
C (0.6215, 0.5417, 0.4168)
C (0.6215, 0.9583, 0.9168)
C (0.6291, 0.6015, 0.1006)
C (0.6286, 0.6712, 0.1242)
C (0.6286, 0.8288, 0.6242)
C (0.6291, 0.8985, 0.6006)
C (0.6322, 0.0306, 0.4171)
C (0.6322, 0.4694, 0.9171)
C (0.6331, 0.1676, 0.3702)
C (0.6331, 0.3324, 0.8702)
C (0.6513, 0.0382, 0.2611)
C (0.6513, 0.4618, 0.7611)
C (0.6514, 0.7487, 0.7402)
C (0.6514, 0.7513, 0.2402)
C (0.6543, 0.0399, 0.6414)
C (0.6543, 0.4601, 0.1414)
C (0.6634, 0.5027, 0.8202)
C (0.6634, 0.9973, 0.3202)
C (0.6643, 0.1102, 0.2819)
C (0.6643, 0.3898, 0.7819)
C (0.6710, 0.7476, 0.3121)
C (0.6710, 0.7524, 0.8121)
C (0.6743, 0.0867, 0.6986)
C (0.6743, 0.4133, 0.1986)
C (0.6838, 0.0442, 0.3777)
C (0.6841, 0.1140, 0.3539)
C (0.6841, 0.3860, 0.8539)
C (0.6838, 0.4558, 0.8777)
C (0.7103, 0.6554, 0.4245)
C (0.7103, 0.8446, 0.9245)
C (0.7131, 0.0944, 0.8398)
C (0.7131, 0.4056, 0.3398)
C (0.7231, 0.5833, 0.4452)
C (0.7231, 0.9167, 0.9452)
C (0.7247, 0.0536, 0.8989)
C (0.7247, 0.4464, 0.3989)
C (0.7466, 0.6857, 0.1892)
C (0.7466, 0.8143, 0.6892)
C (0.7477, 0.5726, 0.1508)
C (0.7477, 0.9274, 0.6508)
C (0.7578, 0.7248, 0.2460)
C (0.7578, 0.7752, 0.7460)
C (0.7599, 0.5033, 0.1708)
C (0.7599, 0.9967, 0.6708)
C (0.7896, 0.7188, 0.3626)
C (0.7896, 0.7812, 0.8626)
C (0.7925, 0.0726, 0.7636)
C (0.7925, 0.4274, 0.2636)
C (0.8087, 0.6735, 0.4176)
C (0.8087, 0.8265, 0.9176)
C (0.8115, 0.0763, 0.8328)
C (0.8115, 0.4237, 0.3328)
C (0.8202, 0.6246, 0.2056)
C (0.8202, 0.8754, 0.7056)
C (0.8294, 0.5568, 0.4511)
C (0.8294, 0.9432, 0.9511)
C (0.8302, 0.0103, 0.9284)
C (0.8302, 0.4897, 0.4284)
C (0.8433, 0.7047, 0.3217)
C (0.8433, 0.7953, 0.8217)
C (0.8454, 0.0169, 0.7464)
C (0.8454, 0.4831, 0.2464)
C (0.8824, 0.6125, 0.4341)
C (0.8824, 0.8875, 0.9341)
C (0.8838, 0.0244, 0.8876)
C (0.8838, 0.4756, 0.3876)
C (0.9022, 0.6052, 0.2784)
C (0.9022, 0.8948, 0.7784)
C (0.9139, 0.6460, 0.3375)
C (0.9139, 0.8540, 0.8375)
C (0.9150, 0.5331, 0.2991)
C (0.9150, 0.9669, 0.7991)
C (0.9340, 0.5990, 0.3948)
C (0.9340, 0.9010, 0.8948)
C (0.9345, 0.5293, 0.3711)
C (0.9345, 0.9707, 0.8711)
Cl (0.0168, 0.5680, 0.1350)
Cl (0.0168, 0.9320, 0.6350)
Cl (0.0520, 0.0999, 0.5441)
Cl (0.0520, 0.4001, 0.0441)
Cl (0.0675, 0.7357, 0.0881)
Cl (0.0675, 0.7643, 0.5881)
Cl (0.1033, 0.1492, 0.8708)
Cl (0.1033, 0.3508, 0.3708)
Cl (0.1428, 0.7065, 0.2890)
Cl (0.1428, 0.7935, 0.7890)
Cl (0.1457, 0.6476, 0.8888)
Cl (0.1457, 0.8524, 0.3888)
Cl (0.1706, 0.0967, 0.7443)
Cl (0.1706, 0.4033, 0.2443)
Cl (0.2302, 0.1744, 0.4866)
Cl (0.2302, 0.3256, 0.9866)
Cl (0.2322, 0.5183, 0.3878)
Cl (0.2322, 0.9817, 0.8878)
Cl (0.2390, 0.6881, 0.4762)
Cl (0.2390, 0.8119, 0.9762)
Cl (0.4097, 0.1329, 0.9308)
Cl (0.4097, 0.3671, 0.4308)
Cl (0.4209, 0.7235, 0.9297)
Cl (0.4209, 0.7765, 0.4297)
Cl (0.5791, 0.2235, 0.5703)
Cl (0.5791, 0.2765, 0.0703)
Cl (0.5903, 0.6329, 0.5692)
Cl (0.5903, 0.8671, 0.0692)
Cl (0.7610, 0.1881, 0.0238)
Cl (0.7610, 0.3119, 0.5238)
Cl (0.7678, 0.0183, 0.1122)
Cl (0.7678, 0.4817, 0.6122)
Cl (0.7698, 0.6744, 0.0134)
Cl (0.7698, 0.8256, 0.5134)
Cl (0.8294, 0.5967, 0.7557)
Cl (0.8294, 0.9033, 0.2557)
Cl (0.8543, 0.1476, 0.6112)
Cl (0.8543, 0.3524, 0.1112)
Cl (0.8572, 0.2065, 0.2110)
Cl (0.8572, 0.2935, 0.7110)
Cl (0.8967, 0.6492, 0.6292)
Cl (0.8967, 0.8508, 0.1292)
Cl (0.9325, 0.2357, 0.4119)
Cl (0.9325, 0.2643, 0.9119)
Cl (0.9480, 0.5999, 0.9559)
Cl (0.9480, 0.9001, 0.4559)
Cl (0.9832, 0.0680, 0.3650)
Cl (0.9832, 0.4320, 0.8650)



2.
Compound: W6CCl15
Source: Materials Project
Functional: PBE-GGA
Structure: optimized geometry

Values from the calculation:
Total moment, μB per atom: 0.00
Final energy, eV per atom: -5.939
Corrected total energy (MP2020 scheme), Ry/atom: -0.4673
Energy of formation, kJ/mol of formula units: -2428
SG: P2_1/c

Cell lengths 10.5070, 12.1787, 18.8087 Å; angles 90.00, 113.36, 90.00 degrees
Element x y z (fractional)
W (0.0357, 0.2433, 0.1021)
W (0.0357, 0.2567, 0.6021)
W (0.0591, 0.1707, 0.4751)
W (0.0591, 0.3293, 0.9751)
W (0.1001, 0.0329, 0.5856)
W (0.1001, 0.4671, 0.0856)
W (0.3199, 0.1710, 0.1623)
W (0.3199, 0.3290, 0.6623)
W (0.3530, 0.2498, 0.0355)
W (0.3530, 0.2502, 0.5355)
W (0.4070, 0.1225, 0.6616)
W (0.4070, 0.3775, 0.1616)
W (0.5930, 0.6225, 0.8384)
W (0.5930, 0.8775, 0.3384)
W (0.6470, 0.7498, 0.4645)
W (0.6470, 0.7502, 0.9645)
W (0.6801, 0.6710, 0.3377)
W (0.6801, 0.8290, 0.8377)
W (0.8999, 0.5329, 0.9144)
W (0.8999, 0.9671, 0.4144)
W (0.9409, 0.6707, 0.0249)
W (0.9409, 0.8293, 0.5249)
W (0.9643, 0.7433, 0.3979)
W (0.9643, 0.7567, 0.8979)
C (0.2154, 0.1876, 0.5901)
C (0.2154, 0.3124, 0.0901)
C (0.7846, 0.6876, 0.9099)
C (0.7846, 0.8124, 0.4099)
Cl (0.0683, 0.5984, 0.8682)
Cl (0.0683, 0.9016, 0.3682)
Cl (0.0879, 0.6411, 0.1593)
Cl (0.0879, 0.8589, 0.6593)
Cl (0.1202, 0.0611, 0.0858)
Cl (0.1202, 0.4389, 0.5858)
Cl (0.1227, 0.6415, 0.3591)
Cl (0.1227, 0.8585, 0.8591)
Cl (0.1398, 0.7317, 0.5258)
Cl (0.1398, 0.7683, 0.0258)
Cl (0.1517, 0.1530, 0.9423)
Cl (0.1517, 0.3470, 0.4423)
Cl (0.1911, 0.2190, 0.2399)
Cl (0.1911, 0.2810, 0.7399)
Cl (0.2537, 0.1029, 0.4433)
Cl (0.2537, 0.3971, 0.9433)
Cl (0.2856, 0.0490, 0.7345)
Cl (0.2856, 0.4510, 0.2345)
Cl (0.3175, 0.5467, 0.0862)
Cl (0.3175, 0.9533, 0.5862)
Cl (0.3785, 0.9996, 0.2486)
Cl (0.3785, 0.5004, 0.7486)
Cl (0.4302, 0.6559, 0.8964)
Cl (0.4302, 0.8441, 0.3964)
Cl (0.4558, 0.0825, 0.1015)
Cl (0.4558, 0.4175, 0.6015)
Cl (0.4608, 0.1990, 0.9481)
Cl (0.4608, 0.3010, 0.4481)
Cl (0.4703, 0.7444, 0.2414)
Cl (0.4703, 0.7556, 0.7414)
Cl (0.5297, 0.2444, 0.2586)
Cl (0.5297, 0.2556, 0.7586)
Cl (0.5392, 0.6990, 0.5519)
Cl (0.5392, 0.8010, 0.0519)
Cl (0.5442, 0.5825, 0.3985)
Cl (0.5442, 0.9175, 0.8985)
Cl (0.5698, 0.1559, 0.6036)
Cl (0.5698, 0.3441, 0.1036)
Cl (0.6215, 0.0004, 0.7514)
Cl (0.6215, 0.4996, 0.2514)
Cl (0.6825, 0.0467, 0.4138)
Cl (0.6825, 0.4533, 0.9138)
Cl (0.7144, 0.5490, 0.7655)
Cl (0.7144, 0.9510, 0.2655)
Cl (0.7463, 0.6029, 0.0567)
Cl (0.7463, 0.8971, 0.5567)
Cl (0.8089, 0.7190, 0.2601)
Cl (0.8089, 0.7810, 0.7601)
Cl (0.8483, 0.6530, 0.5577)
Cl (0.8483, 0.8470, 0.0577)
Cl (0.8602, 0.2317, 0.9742)
Cl (0.8602, 0.2683, 0.4742)
Cl (0.8773, 0.1415, 0.1409)
Cl (0.8773, 0.3585, 0.6409)
Cl (0.8798, 0.5611, 0.4142)
Cl (0.8798, 0.9389, 0.9142)
Cl (0.9121, 0.1411, 0.3407)
Cl (0.9121, 0.3589, 0.8407)
Cl (0.9317, 0.0984, 0.6318)
Cl (0.9317, 0.4016, 0.1318)



3.
Compound: YCCl
Source: Materials Project
Functional: PBE-GGA
Structure: optimized geometry

Values from the calculation:
Final energy, eV per atom: -7.086
Corrected total energy (MP2020 scheme), Ry/atom: -0.5359
Energy of formation, kJ/mol of formula units: -418
SG: C2/m

Cell lengths 3.9292, 3.9292, 9.6222 Å; angles 95.00, 95.00, 57.44 degrees
Element x y z (fractional)
Y (0.1443, 0.1443, 0.1549)
Y (0.8557, 0.8557, 0.8451)
C (0.4267, 0.4267, 0.0402)
C (0.5733, 0.5733, 0.9598)
Cl (0.1771, 0.1771, 0.6676)
Cl (0.8229, 0.8229, 0.3324)



4.
Compound: Zr6CCl14
Source: Materials Project
Functional: PBE-GGA
Structure: optimized geometry

Values from the calculation:
Final energy, eV per atom: -5.877
Corrected total energy (MP2020 scheme), Ry/atom: -0.4621
Energy of formation, kJ/mol of formula units: -4402
SG: Cmce

Cell lengths 9.6777, 9.6777, 11.6933 Å; angles 90.00, 90.00, 84.36 degrees
Element x y z (fractional)
Zr (0.0460, 0.1836, 0.8832)
Zr (0.1441, 0.8559, 0.8950)
Zr (0.1836, 0.0460, 0.1168)
Zr (0.3164, 0.4540, 0.6168)
Zr (0.3559, 0.6441, 0.3950)
Zr (0.4540, 0.3164, 0.3832)
Zr (0.5460, 0.6836, 0.6168)
Zr (0.6441, 0.3559, 0.6050)
Zr (0.6836, 0.5460, 0.3832)
Zr (0.8164, 0.9540, 0.8832)
Zr (0.8559, 0.1441, 0.1050)
Zr (0.9540, 0.8164, 0.1168)
C (0.0000, 0.0000, 0.0000)
C (0.5000, 0.5000, 0.5000)
Cl (0.0354, 0.2097, 0.2473)
Cl (0.1033, 0.3967, 0.7500)
Cl (0.1155, 0.6380, 0.0089)
Cl (0.1380, 0.6155, 0.5089)
Cl (0.1568, 0.8432, 0.2603)
Cl (0.2097, 0.0354, 0.7527)
Cl (0.2486, 0.2486, 0.0000)
Cl (0.2514, 0.2514, 0.5000)
Cl (0.2903, 0.4646, 0.2527)
Cl (0.3432, 0.6568, 0.7603)
Cl (0.3620, 0.8845, 0.0089)
Cl (0.3845, 0.8620, 0.5089)
Cl (0.3967, 0.1033, 0.2500)
Cl (0.4646, 0.2903, 0.7473)
Cl (0.5354, 0.7097, 0.2527)
Cl (0.6033, 0.8967, 0.7500)
Cl (0.6155, 0.1380, 0.4911)
Cl (0.6380, 0.1155, 0.9911)
Cl (0.6568, 0.3432, 0.2397)
Cl (0.7097, 0.5354, 0.7473)
Cl (0.7486, 0.7486, 0.5000)
Cl (0.7514, 0.7514, 0.0000)
Cl (0.7903, 0.9646, 0.2473)
Cl (0.8432, 0.1568, 0.7397)
Cl (0.8620, 0.3845, 0.4911)
Cl (0.8845, 0.3620, 0.9911)
Cl (0.8967, 0.6033, 0.2500)
Cl (0.9646, 0.7903, 0.7527)